--- P ---
VASP calculation (GGA+U) on a geometry-optimized CoBi6S2O16 structure.

Cell and atoms, written as POSCAR:
```
CoBi6S2O16
1.0
17.5608 -2.8386 0.0000
17.5608 2.8386 0.0000
-7.8571 0.0000 15.1857
Co Bi S O
4 24 8 64
Direct
0.0000 0.0000 0.0000
0.2504 0.2495 0.7501
0.5473 0.4527 0.5000
0.7505 0.7496 0.2499
0.0308 0.1362 0.5782
0.1071 0.0629 0.2612
0.1116 0.2239 0.1716
0.1136 0.0614 0.9335
0.1883 0.1364 0.8163
0.1878 0.1436 0.4884
0.2759 0.3883 0.3281
0.3579 0.3123 0.0115
0.3613 0.4743 0.9220
0.3633 0.3120 0.6841
0.4366 0.3871 0.5655
0.4380 0.3923 0.2396
0.5257 0.6387 0.0780
0.6077 0.5620 0.7604
0.6117 0.7241 0.6719
0.6129 0.5634 0.4345
0.6880 0.6367 0.3159
0.6877 0.6421 0.9885
0.7761 0.8884 0.8284
0.8564 0.8122 0.5116
0.8636 0.8117 0.1837
0.8638 0.9692 0.4218
0.9371 0.8929 0.7388
0.9386 0.8864 0.0665
0.0672 0.9255 0.3569
0.0745 0.9328 0.6431
0.3174 0.1742 0.1031
0.3260 0.1823 0.3968
0.5673 0.4242 0.8530
0.5758 0.4327 0.1470
0.8177 0.6740 0.6032
0.8258 0.6826 0.8969
0.0357 0.4400 0.6402
0.0392 0.8454 0.9723
0.0523 0.8911 0.2602
0.0597 0.4648 0.8599
0.0807 0.0063 0.3875
0.0990 0.3603 0.1365
0.1089 0.9477 0.7398
0.1319 0.6178 0.6252
0.1399 0.4006 0.3633
0.1492 0.5873 0.4593
0.1527 0.5978 0.1253
0.1546 0.9608 0.0277
0.1582 0.5834 0.9638
0.1639 0.5988 0.7908
0.1668 0.5915 0.2864
0.2497 0.1639 0.3638
0.2844 0.6945 0.3952
0.2889 0.0956 0.7223
0.3055 0.7156 0.6048
0.3070 0.1375 0.0064
0.3360 0.2503 0.1361
0.3493 0.6101 0.8868
0.3626 0.1929 0.4934
0.3822 0.8681 0.3748
0.3899 0.6507 0.1132
0.4012 0.8361 0.2092
0.4022 0.8473 0.8747
0.4049 0.2105 0.7781
0.4085 0.8332 0.7136
0.4127 0.8508 0.5407
0.4166 0.8418 0.0362
0.4995 0.4143 0.1141
0.5352 0.9403 0.1401
0.5363 0.3446 0.4703
0.5562 0.3880 0.7564
0.5600 0.9643 0.3598
0.5857 0.5005 0.8859
0.5994 0.8601 0.6367
0.6120 0.4438 0.2436
0.6325 0.1181 0.1254
0.6397 0.9010 0.8635
0.6520 0.0856 0.9598
0.6516 0.0978 0.6253
0.6554 0.4637 0.5297
0.6566 0.0828 0.4633
0.6643 0.0978 0.2905
0.6667 0.0920 0.7867
0.7497 0.6640 0.8639
0.7856 0.1900 0.8900
0.7895 0.5950 0.2219
0.8071 0.6374 0.5066
0.8100 0.2144 0.1100
0.8361 0.7503 0.6362
0.8472 0.1138 0.3914
0.8625 0.6930 0.9936
0.8819 0.3675 0.8746
0.8862 0.1528 0.6086
0.9022 0.3357 0.7095
0.9022 0.3484 0.3747
0.9044 0.7111 0.2777
0.9080 0.3333 0.2133
0.9144 0.3480 0.0402
0.9172 0.3434 0.5367
0.9937 0.9193 0.6125
```

--- Q ---
VASP calculation (GGA+U) on a geometry-optimized CoBi6S2O16 structure.

Cell and atoms, written as POSCAR:
```
CoBi6S2O16
1.0
5.8530 -2.8430 -5.1348
5.8369 2.8432 6.2384
-0.0004 -11.3711 -0.0006
O Co Bi S
32 2 12 4
Direct
0.5175 0.8143 0.5187
0.1103 0.4337 0.4274
0.8274 0.3137 0.9470
0.5240 0.8189 0.7659
0.0519 0.1952 0.9869
0.9175 0.8108 0.7102
0.1726 0.6866 0.2041
0.5241 0.8189 0.2658
0.7696 0.0599 0.1723
0.8274 0.3138 0.4473
0.4760 0.1810 0.6184
0.2304 0.9401 0.0271
0.0521 0.1953 0.4872
0.8899 0.5664 0.7653
0.7695 0.0599 0.6723
0.9477 0.8051 0.4153
0.1726 0.6865 0.7039
0.1102 0.4335 0.9271
0.0823 0.1889 0.7637
0.2305 0.9401 0.5271
0.4826 0.1856 0.8703
0.9176 0.8108 0.2103
0.9478 0.8049 0.9152
0.4759 0.1810 0.1184
0.4827 0.1856 0.3702
0.8900 0.5664 0.2655
0.5001 0.4999 0.4399
0.5000 0.5001 0.6802
0.5000 0.5000 0.1801
0.4999 0.5000 0.9399
0.0824 0.1890 0.2640
0.5174 0.8143 0.0187
0.0000 0.0001 0.5510
0.0000 0.0000 0.0508
0.6710 0.0081 0.3570
0.3505 0.6923 0.3992
0.6709 0.0082 0.8571
0.6603 0.6477 0.5592
0.3292 0.9918 0.6884
0.3397 0.3522 0.0654
0.3291 0.9918 0.1885
0.3398 0.3522 0.5654
0.6602 0.6477 0.0591
0.6495 0.3076 0.7283
0.6496 0.3075 0.2283
0.3505 0.6923 0.8993
0.0175 0.2864 0.9061
0.0176 0.2866 0.4064
0.9824 0.7136 0.2717
0.9824 0.7135 0.7716
```

Q comes first in stability; the runner-up is 0.016 eV/atom higher.

--- P ---
VASP calculation (GGA+U) on a geometry-optimized MgCrFeBi2O6 structure.

Cell and atoms, written as POSCAR:
```
MgCrFeBi2O6
1.0
5.6028 0.0000 0.0000
2.7061 4.9352 0.0000
2.6793 1.6243 5.6096
Mg Cr Fe Bi O
1 1 1 2 6
Direct
0.0000 0.0000 0.0000
0.6443 0.6438 0.0822
0.1737 0.1737 0.4724
0.3534 0.3581 0.9431
0.8192 0.8098 0.5354
0.0520 0.3649 0.7184
0.2018 0.9681 0.2649
0.4056 0.7722 0.8370
0.5939 0.2461 0.1998
0.8035 0.9663 0.8112
0.9622 0.5727 0.2185
```

--- Q ---
VASP calculation (GGA+U) on a geometry-optimized MgCrFeBi2O6 structure.

Cell and atoms, written as POSCAR:
```
MgCrFeBi2O6
1.0
5.5801 0.0000 0.0000
2.7736 4.9493 0.0000
2.4281 1.2367 5.7176
Mg Cr Fe Bi O
1 1 1 2 6
Direct
0.0000 0.0000 0.0000
0.1579 0.1614 0.4703
0.6319 0.6280 0.1518
0.3404 0.3616 0.9397
0.7994 0.7894 0.5652
0.2659 0.6178 0.1766
0.3587 0.0177 0.7302
0.5429 0.9877 0.2357
0.8109 0.3693 0.7182
0.9333 0.7583 0.8651
0.9614 0.2491 0.2054
```

Q comes first in stability; the runner-up is 0.049 eV/atom higher.

--- P ---
VASP calculation (GGA+U) on a geometry-optimized CrBiO5 structure.

Cell and atoms, written as POSCAR:
```
CrBiO5
1.0
5.9081 0.0000 0.0000
0.0000 11.0840 0.0000
-2.8726 0.0000 8.5087
Cr Bi O
4 4 20
Direct
0.1610 0.1501 0.4453
0.1610 0.3499 0.9453
0.8390 0.6501 0.0547
0.8390 0.8499 0.5547
0.0005 0.0893 0.8270
0.0005 0.4107 0.3270
0.9995 0.5893 0.6730
0.9995 0.9107 0.1730
0.1116 0.7015 0.1528
0.1116 0.7985 0.6528
0.1684 0.5512 0.4922
0.1684 0.9488 0.9922
0.1719 0.0966 0.6218
0.1719 0.4034 0.1218
0.2486 0.0432 0.3400
0.2486 0.4568 0.8400
0.3275 0.2268 0.9624
0.3275 0.2732 0.4624
0.6725 0.7268 0.5376
0.6725 0.7732 0.0376
0.7514 0.5432 0.1600
0.7514 0.9568 0.6600
0.8281 0.5966 0.8782
0.8281 0.9034 0.3782
0.8316 0.0512 0.0078
0.8316 0.4488 0.5078
0.8884 0.2015 0.3472
0.8884 0.2985 0.8472
```

--- Q ---
VASP calculation (GGA+U) on a geometry-optimized CrBiO5 structure.

Cell and atoms, written as POSCAR:
```
CrBiO5
1.0
5.7453 0.0000 0.0000
0.0000 9.8247 0.0000
-0.5337 0.0000 7.4526
Cr Bi O
4 4 20
Direct
0.2247 0.0855 0.3343
0.2247 0.4145 0.8343
0.7753 0.5855 0.1657
0.7753 0.9145 0.6657
0.3337 0.6774 0.4909
0.3337 0.8226 0.9909
0.6663 0.1774 0.0091
0.6663 0.3226 0.5091
0.0237 0.6568 0.2480
0.0237 0.8432 0.7480
0.2336 0.0917 0.5494
0.2336 0.4083 0.0494
0.2445 0.5791 0.7712
0.2445 0.9209 0.2712
0.3403 0.0510 0.9564
0.3403 0.4490 0.4564
0.4642 0.1807 0.2762
0.4642 0.3193 0.7762
0.5358 0.6807 0.2238
0.5358 0.8193 0.7238
0.6597 0.5510 0.5436
0.6597 0.9490 0.0436
0.7555 0.0791 0.7288
0.7555 0.4209 0.2288
0.7664 0.5917 0.9506
0.7664 0.9083 0.4506
0.9763 0.1568 0.2520
0.9763 0.3432 0.7520
```

--- R ---
VASP calculation (GGA+U) on a geometry-optimized CrBiO5 structure.

Cell and atoms, written as POSCAR:
```
CrBiO5
1.0
6.2076 0.0000 0.0000
0.0000 15.8997 0.0000
0.0000 0.0000 11.7052
Cr Bi O
8 8 40
Direct
0.0212 0.1174 0.0995
0.0212 0.3826 0.5995
0.4788 0.6174 0.0995
0.4788 0.8826 0.5995
0.5212 0.1174 0.4005
0.5212 0.3826 0.9005
0.9788 0.6174 0.4005
0.9788 0.8826 0.9005
0.0722 0.7144 0.6780
0.0722 0.7856 0.1780
0.4278 0.2144 0.6780
0.4278 0.2856 0.1780
0.5722 0.7144 0.8220
0.5722 0.7856 0.3220
0.9278 0.2144 0.8220
0.9278 0.2856 0.3220
0.1099 0.1990 0.1959
0.1099 0.3010 0.6959
0.1105 0.5474 0.3317
0.1105 0.9526 0.8317
0.1428 0.6616 0.5038
0.1428 0.8384 0.0038
0.2267 0.1525 0.7932
0.2267 0.3475 0.2932
0.2362 0.0788 0.0458
0.2362 0.4212 0.5458
0.2638 0.5788 0.0458
0.2638 0.9212 0.5458
0.2733 0.6525 0.7932
0.2733 0.8475 0.2932
0.3572 0.1616 0.5038
0.3572 0.3384 0.0038
0.3895 0.0474 0.3317
0.3895 0.4526 0.8317
0.3901 0.6990 0.1959
0.3901 0.8010 0.6959
0.6099 0.1990 0.3041
0.6099 0.3010 0.8041
0.6105 0.5474 0.1683
0.6105 0.9526 0.6683
0.6428 0.6616 0.9962
0.6428 0.8384 0.4962
0.7267 0.1525 0.7068
0.7267 0.3475 0.2068
0.7362 0.0788 0.4542
0.7362 0.4212 0.9542
0.7638 0.5788 0.4542
0.7638 0.9212 0.9542
0.7733 0.6525 0.7068
0.7733 0.8475 0.2068
0.8572 0.1616 0.9962
0.8572 0.3384 0.4962
0.8895 0.0474 0.1683
0.8895 0.4526 0.6683
0.8901 0.6990 0.3041
0.8901 0.8010 0.8041
```

Q comes first in stability; the runner-up is 0.035 eV/atom higher.

--- P ---
VASP calculation (GGA+U) on a geometry-optimized KEuBiWO6 structure.

Cell and atoms, written as POSCAR:
```
KEuBiWO6
1.0
8.4602 0.0000 0.0000
0.0000 8.4708 0.0000
0.0000 0.0000 8.5051
K Eu Bi W O
4 4 4 4 24
Direct
0.2500 0.2500 0.2500
0.2500 0.7500 0.2500
0.7500 0.2500 0.7500
0.7500 0.7500 0.7500
0.2500 0.2500 0.7500
0.2500 0.7500 0.7500
0.7500 0.2500 0.2500
0.7500 0.7500 0.2500
0.0000 0.0000 0.0000
0.0000 0.5000 0.5000
0.5000 0.0000 0.5000
0.5000 0.5000 0.0000
0.0000 0.0000 0.5000
0.0000 0.5000 0.0000
0.5000 0.0000 0.0000
0.5000 0.5000 0.5000
0.0237 0.2274 0.4715
0.0237 0.2726 0.0285
0.0410 0.0266 0.7283
0.0410 0.4734 0.7717
0.2269 0.5302 0.0184
0.2269 0.9698 0.4816
0.2731 0.5302 0.4816
0.2731 0.9698 0.0184
0.4590 0.0266 0.7717
0.4590 0.4734 0.7283
0.4763 0.2274 0.0285
0.4763 0.2726 0.4715
0.5237 0.7274 0.5285
0.5237 0.7726 0.9715
0.5410 0.5266 0.2717
0.5410 0.9734 0.2283
0.7269 0.0302 0.9816
0.7269 0.4698 0.5184
0.7731 0.0302 0.5184
0.7731 0.4698 0.9816
0.9590 0.5266 0.2283
0.9590 0.9734 0.2717
0.9763 0.7274 0.9715
0.9763 0.7726 0.5285
```

--- Q ---
VASP calculation (GGA+U) on a geometry-optimized KEuBiWO6 structure.

Cell and atoms, written as POSCAR:
```
KEuBiWO6
1.0
0.0000 4.2717 4.2717
4.2717 0.0000 4.2717
4.2717 4.2717 0.0000
K Eu Bi W O
1 1 1 1 6
Direct
0.0000 0.0000 0.0000
0.5000 0.5000 0.5000
0.2500 0.2500 0.2500
0.7500 0.7500 0.7500
0.5216 0.5216 0.9784
0.5216 0.9784 0.5216
0.5216 0.9784 0.9784
0.9784 0.5216 0.5216
0.9784 0.5216 0.9784
0.9784 0.9784 0.5216
```

P comes first in stability; the runner-up is 0.022 eV/atom higher.